1:
Below is a geometry-optimized Li3Mn2CoO6 structure, with properties calculated at the PBE+U level.

Calculated values
calculated volume = 9.484 A^3/atom

Geometry as POSCAR:
```
Li3Mn2CoO6
1.0
3.076 0.000 0.000
1.130 5.005 0.000
1.040 1.632 7.393
Co Li O Mn
1 3 6 2
Cartesian
0.000 0.000 0.000
1.085 3.318 3.697
2.748 2.819 1.227
2.499 3.818 6.166
1.495 1.255 0.649
2.692 1.848 3.140
4.020 2.422 5.621
3.751 5.382 6.744
2.554 4.789 4.254
1.226 4.215 1.772
2.536 5.535 2.450
2.711 1.102 4.944
```


2:
Below is a geometry-optimized Li3Mn2CoO6 structure, with properties calculated at the PBE+U level.

Calculated values
calculated volume = 9.411 A^3/atom

Geometry as POSCAR:
```
Li3Mn2CoO6
1.0
-1.013 0.472 -2.826
1.542 -0.806 -2.491
-6.486 -13.166 -0.732
Mn O Li Co
2 6 3 1
Cartesian
-1.983 -4.492 -2.009
-3.975 -9.009 -4.040
-3.660 -7.869 -2.093
-2.298 -5.632 -3.956
-4.816 -9.805 -0.652
-1.141 -3.696 -5.397
-0.320 -1.108 -1.784
-5.637 -12.393 -4.265
-5.248 -11.125 -2.394
-0.709 -2.376 -3.655
-3.243 -6.583 -0.366
0.000 0.000 0.000
```


3:
Below is a geometry-optimized Li3Mn2CoO6 structure, with properties calculated at the PBE+U level.

Calculated values
calculated volume = 9.501 A^3/atom

Geometry as POSCAR:
```
Li3Mn2CoO6
1.0
1.436 7.700 0.000
-1.436 7.700 0.000
0.000 1.470 5.156
O Li Mn Co
6 3 2 1
Cartesian
0.000 4.848 3.854
0.000 7.853 4.660
0.000 9.017 0.496
0.000 12.022 1.303
0.000 2.253 3.180
0.000 14.616 1.976
0.000 8.435 2.578
0.000 2.791 0.853
0.000 14.079 4.304
0.000 11.251 3.518
0.000 5.618 1.638
0.000 0.000 0.000
```


4:
Below is a geometry-optimized Li3Mn2CoO6 structure, with properties calculated at the PBE+U level.

Calculated values
calculated volume = 9.478 A^3/atom

Geometry as POSCAR:
```
Li3Mn2CoO6
1.0
-0.752 0.590 2.699
0.277 -5.082 -0.271
15.678 2.105 3.768
O Co Li Mn
12 2 6 4
Cartesian
0.453 -3.618 0.966
13.229 -1.576 5.483
2.739 -2.943 2.955
1.974 -0.812 0.713
7.183 -0.137 2.085
9.415 0.564 3.926
14.750 1.230 5.230
12.464 0.555 3.241
5.789 -2.952 2.270
10.961 -2.169 3.472
4.242 -0.219 2.724
8.020 -2.251 4.111
0.000 0.000 0.000
7.463 1.347 3.233
0.819 -1.874 2.172
6.164 -1.248 3.489
14.384 -0.513 4.024
9.040 -1.140 2.707
3.868 -1.878 1.484
11.336 -0.509 4.712
2.490 -4.418 1.697
12.714 2.030 4.499
9.938 -3.038 4.911
5.265 0.651 1.285
```


Relative to the most stable one, in eV/atom, the structures come out at 1 0.010; 2 0.016; 3 0.021; 4 0.000.


1:
Below is a geometry-optimized Li2VCrO4 structure, with properties calculated at the PBE+U level.

Calculated values
calculated volume = 9.414 A^3/atom

Geometry as POSCAR:
```
Li2VCrO4
1.0
-2.754 -3.264 2.912
1.862 -5.533 -1.378
4.836 -1.479 6.036
V Li O Cr
3 6 12 3
Cartesian
3.888 -6.537 5.573
0.056 -3.738 1.997
1.972 -5.138 3.785
0.000 0.000 0.000
0.931 -2.766 -0.689
3.830 -2.807 3.585
2.026 -8.873 5.759
0.114 -7.468 3.985
1.918 -1.402 1.811
0.173 -5.581 2.932
4.012 -8.372 6.511
4.701 -7.491 3.951
2.801 -6.119 2.136
2.077 -6.953 4.709
3.060 -5.586 7.193
1.867 -3.322 2.861
-0.068 -1.903 1.059
0.884 -4.689 0.377
-0.757 -2.784 3.619
1.143 -4.156 5.434
3.771 -4.694 4.638
2.952 -3.767 6.263
1.041 -2.371 4.474
0.992 -6.509 1.307
```


2:
Below is a geometry-optimized Li2VCrO4 structure, with properties calculated at the PBE+U level.

Calculated values
calculated volume = 9.403 A^3/atom

Geometry as POSCAR:
```
Li2VCrO4
1.0
-1.053 3.327 3.801
-3.600 -3.590 0.986
6.351 -5.499 3.084
Cr Li O V
3 6 12 3
Cartesian
4.412 -4.281 4.981
0.154 -0.609 2.915
-0.593 -3.315 3.919
1.051 1.494 4.823
0.294 -1.213 5.819
-0.721 -2.691 1.009
-0.023 -0.027 0.019
3.530 -6.372 3.070
-0.410 -3.935 6.839
3.078 -5.053 6.319
0.925 -3.208 5.279
2.135 -7.103 4.618
-1.338 -0.680 1.543
-0.454 1.295 3.269
3.836 -2.355 5.324
0.725 -2.539 2.581
1.681 -0.517 4.270
0.011 -5.239 3.592
-1.178 -1.394 4.244
2.887 -4.374 3.614
-2.117 -3.411 2.575
-2.706 -1.481 2.893
1.543 -5.154 4.957
2.279 -2.447 3.948
```


Relative to the most stable one, in eV/atom, the structures come out at 1 0.008; 2 0.000.


1:
Below is a geometry-optimized Li4V2P3O12 structure, with properties calculated at the PBE+U level.

Calculated values
calculated volume = 11.757 A^3/atom

Geometry as POSCAR:
```
Li4V2P3O12
1.0
4.561 7.565 0.000
-4.561 7.565 0.000
0.000 4.815 7.155
Li P V O
8 6 4 24
Cartesian
-1.731 12.712 5.016
-0.016 12.216 0.341
-1.731 9.641 5.716
1.731 10.304 1.439
0.016 7.729 6.814
-0.016 5.321 3.236
1.731 7.233 2.139
0.016 14.624 3.918
-4.240 11.176 5.366
-0.848 7.939 3.858
0.848 5.532 0.281
0.848 12.006 3.297
-0.848 14.413 6.874
4.240 8.769 1.789
2.285 13.345 6.116
-2.285 10.937 2.538
2.285 9.008 4.617
-2.285 6.600 1.039
-0.712 12.071 3.358
-1.449 9.339 3.628
1.275 13.080 4.325
3.283 8.306 2.934
1.275 9.272 6.407
0.712 14.478 6.935
3.283 9.232 0.643
-1.317 7.589 5.321
1.449 6.931 0.050
-0.712 5.467 0.220
-1.275 10.673 0.747
0.712 7.874 3.797
-3.283 11.639 4.221
0.531 2.449 2.035
-3.283 10.713 6.512
1.449 10.606 3.527
1.317 12.356 1.834
-1.317 14.763 5.412
-0.531 17.496 5.120
1.317 5.182 1.743
-1.449 13.014 7.105
0.531 15.088 1.543
-0.531 4.857 5.612
-1.275 6.865 2.830
```


2:
Below is a geometry-optimized Li4V2P3O12 structure, with properties calculated at the PBE+U level.

Calculated values
calculated volume = 11.639 A^3/atom

Geometry as POSCAR:
```
Li4V2P3O12
1.0
8.806 0.000 0.000
0.000 9.022 0.000
0.000 0.000 12.305
O P V Li
48 12 8 16
Cartesian
3.704 3.173 6.583
0.699 3.173 5.723
5.687 4.124 11.396
1.412 7.618 5.206
2.991 3.107 11.359
6.741 1.392 2.369
7.980 8.413 10.196
0.699 7.684 0.430
3.704 7.684 11.875
5.102 5.849 5.723
7.394 5.916 11.359
6.468 5.903 8.522
5.102 1.338 0.430
5.229 8.413 2.109
1.284 0.388 7.062
8.600 2.971 3.379
6.468 1.392 9.936
1.284 4.899 11.396
7.980 3.902 8.262
2.065 3.119 8.522
4.609 2.971 8.926
3.119 0.388 5.243
2.338 7.630 2.369
3.577 5.120 8.262
2.338 3.119 3.784
3.577 0.609 10.196
6.741 5.903 3.784
4.609 7.483 9.532
4.197 6.051 3.379
7.522 4.124 0.909
0.206 1.540 9.532
0.826 5.120 4.044
8.107 5.849 6.583
5.815 5.916 0.946
5.687 8.635 7.062
2.991 7.618 7.099
4.197 1.540 2.773
8.600 7.483 2.773
7.522 8.635 5.243
0.206 6.051 8.926
5.229 3.902 4.044
2.065 7.630 9.936
8.107 1.338 11.875
7.394 1.405 7.099
0.826 0.609 2.109
1.412 3.107 0.946
3.119 4.899 0.909
5.815 1.405 5.206
3.473 3.579 8.016
6.604 0.457 6.153
0.930 8.091 1.863
7.876 0.932 10.442
5.333 0.932 1.863
7.876 5.443 8.016
2.201 8.565 6.153
6.604 4.968 0.000
3.473 8.091 10.442
0.930 3.579 4.289
5.333 5.443 4.289
2.201 4.054 0.000
8.419 6.764 4.822
8.419 2.252 1.330
0.387 6.770 10.975
0.387 2.259 7.483
4.790 2.252 10.975
4.790 6.764 7.483
4.016 6.770 1.330
4.016 2.259 4.822
5.052 0.389 8.764
2.301 6.373 3.940
3.754 4.123 2.612
6.505 2.650 8.366
2.301 1.862 2.213
6.704 2.650 3.940
8.157 4.900 2.612
2.102 1.862 10.092
6.505 7.161 10.092
3.754 8.634 3.541
0.649 4.123 9.694
8.157 0.389 3.541
0.649 8.634 8.764
5.052 4.900 9.694
6.704 7.161 2.213
2.102 6.373 8.366
```


Relative to the most stable one, in eV/atom, the structures come out at 1 0.032; 2 0.000.


1:
Below is a geometry-optimized LiCoCO4 structure, with properties calculated at the PBE+U level.

Calculated values
calculated volume = 13.008 A^3/atom

Geometry as POSCAR:
```
LiCoCO4
1.0
5.266 0.000 0.000
0.000 6.586 0.000
0.000 1.523 10.502
O Li Co C
16 4 4 4
Cartesian
1.558 7.349 8.868
2.940 5.525 4.316
4.197 2.618 4.937
4.191 1.523 6.885
3.707 0.761 1.634
0.307 1.823 0.935
1.069 5.492 5.565
1.945 2.960 2.833
1.075 6.587 3.617
2.326 2.585 6.186
0.688 3.721 8.084
3.701 3.380 10.188
4.577 4.389 2.418
4.959 6.287 9.567
3.321 5.150 7.669
1.564 4.730 0.314
0.814 1.844 7.414
4.452 6.266 3.088
1.819 1.082 2.163
3.447 7.028 8.339
1.856 4.356 6.868
0.777 3.595 1.617
3.410 3.753 3.633
4.489 4.515 8.884
4.307 1.464 0.773
0.959 6.646 9.729
1.674 5.885 4.478
3.592 2.225 6.023
```


2:
Below is a geometry-optimized LiCoCO4 structure, with properties calculated at the PBE+U level.

Calculated values
calculated volume = 9.759 A^3/atom

Geometry as POSCAR:
```
LiCoCO4
1.0
9.424 0.000 0.000
0.000 3.154 0.000
0.000 3.017 9.193
O Li C Co
16 4 4 4
Cartesian
4.691 2.293 3.536
6.953 3.793 2.400
4.733 3.878 5.657
9.403 2.370 1.061
0.343 3.877 3.411
2.241 0.869 2.196
7.183 5.302 6.997
2.395 5.426 9.054
0.021 3.801 8.132
2.317 3.918 4.458
5.055 0.786 1.185
7.108 2.253 4.735
4.369 5.385 8.007
7.029 0.745 0.139
2.471 2.378 6.792
9.081 2.294 5.782
8.552 2.303 2.908
0.872 3.868 6.284
3.840 2.359 1.688
5.584 3.812 7.505
1.589 3.939 3.331
3.123 5.448 7.927
6.301 0.723 1.265
7.835 2.232 5.862
8.313 5.369 8.722
5.823 3.861 4.125
3.601 2.310 5.067
1.111 0.802 0.471
```


Relative to the most stable one, in eV/atom, the structures come out at 1 0.024; 2 0.000.